A plane-wave DFT calculation with PBE-GGA was carried out for an optimized crystal structure of NdLu3S6.

Results
E_form in eV/f.u.: -23.74
Calculated total energy in eV/atom: -6.388

abc: 10.985 3.934 11.183
angles: 90.00 109.05 90.00
Space group P2_1/m (No. 11)
One atom of each set of equivalent atoms:
Nd1 0.050 0.250 0.195 x2
Lu1 0.161 0.250 0.587 x2
Lu2 0.320 0.750 0.000 x2
Lu3 0.443 0.250 0.334 x2
S1 0.081 0.750 0.407 x2
S2 0.120 0.250 0.964 x2
S3 0.197 0.750 0.749 x2
S4 0.269 0.750 0.230 x2
S5 0.393 0.250 0.558 x2
S6 0.478 0.250 0.112 x2